## Hf5ZnSb3 (r2SCAN)

Data for a relaxed structure of Hf5ZnSb3.

Structure (POSCAR):
```
Hf5ZnSb3
1.0
8.551 0.000 0.000
-4.276 7.406 0.000
0.000 0.000 5.740
Hf Zn Sb
10 2 6
Cartesian
3.131 5.423 1.435
6.261 0.000 4.305
-1.145 1.983 1.435
-3.131 5.423 4.305
1.145 1.983 4.305
2.290 0.000 1.435
0.000 4.937 2.870
4.276 2.469 0.000
4.276 2.469 2.870
0.000 4.937 0.000
0.000 0.000 0.000
0.000 0.000 2.870
3.307 0.000 4.305
1.653 2.864 1.435
-2.622 4.542 1.435
-1.653 2.864 4.305
2.622 4.542 4.305
5.244 0.000 1.435
```

The size of the total moment is 0.00 μB per formula unit. The space-group type is P6_3/mcm. As for the formation energy: -4.99 eV per formula unit.